[1]
Compound: NbFeB
Source: Materials Project
Functional: PBE
Structure: relaxed

Cell: 3.685 3.685 2.958 Å, 90.00 90.00 120.00°
Fractional coordinates of all 3 atoms:
Nb: 0.333 0.667 0.000
Fe: 0.667 0.333 0.500
B: 0.000 0.000 0.500


[2]
Compound: Nb3Fe20B6
Source: Materials Project
Functional: PBE
Structure: relaxed

Cell: 7.580 7.580 7.580 Å, 60.00 60.00 60.00°
Fractional coordinates of all 29 atoms:
Nb: 0.250 0.250 0.250
Nb: 0.750 0.750 0.750
Nb: 0.000 0.000 0.000
Fe: 0.347 0.653 0.000
Fe: 0.347 0.000 0.653
Fe: 0.000 0.653 0.347
Fe: 0.615 0.154 0.615
Fe: 0.385 0.385 0.846
Fe: 0.846 0.385 0.385
Fe: 0.385 0.385 0.385
Fe: 0.154 0.615 0.615
Fe: 0.615 0.615 0.615
Fe: 0.615 0.615 0.154
Fe: 0.385 0.846 0.385
Fe: 0.653 0.347 0.000
Fe: 0.000 0.347 0.653
Fe: 0.653 0.000 0.000
Fe: 0.000 0.000 0.347
Fe: 0.000 0.000 0.653
Fe: 0.000 0.347 0.000
Fe: 0.653 0.000 0.347
Fe: 0.347 0.000 0.000
Fe: 0.000 0.653 0.000
B: 0.271 0.271 0.729
B: 0.729 0.729 0.271
B: 0.729 0.271 0.729
B: 0.271 0.729 0.271
B: 0.271 0.729 0.729
B: 0.729 0.271 0.271


[3]
Compound: Nd2Fe23B3
Source: Materials Project
Functional: PBE
Structure: relaxed

Cell: 12.190 12.190 12.190 Å, 109.47 109.47 109.47°
Fractional coordinates of all 112 atoms:
Nd: 0.000 0.385 0.500
Nd: 0.615 0.615 0.615
Nd: 0.000 0.885 0.500
Nd: 0.500 0.000 0.885
Nd: 0.885 0.500 0.000
Nd: 0.500 0.000 0.385
Nd: 0.385 0.500 0.000
Nd: 0.115 0.115 0.115
Fe: 0.749 0.939 0.444
Fe: 0.690 0.695 0.251
Fe: 0.580 0.250 0.830
Fe: 0.500 0.000 0.137
Fe: 0.495 0.556 0.805
Fe: 0.953 0.096 0.677
Fe: 0.137 0.500 0.000
Fe: 0.005 0.810 0.061
Fe: 0.276 0.823 0.919
Fe: 0.567 0.830 0.191
Fe: 0.677 0.953 0.096
Fe: 0.080 0.330 0.750
Fe: 0.750 0.080 0.330
Fe: 0.637 0.500 0.000
Fe: 0.876 0.638 0.809
Fe: 0.830 0.191 0.567
Fe: 0.638 0.809 0.876
Fe: 0.309 0.138 0.376
Fe: 0.939 0.444 0.749
Fe: 0.047 0.643 0.724
Fe: 0.830 0.580 0.250
Fe: 0.363 0.363 0.363
Fe: 0.805 0.495 0.556
Fe: 0.776 0.419 0.323
Fe: 0.904 0.081 0.857
Fe: 0.433 0.762 0.624
Fe: 0.500 0.000 0.637
Fe: 0.695 0.251 0.690
Fe: 0.944 0.439 0.249
Fe: 0.250 0.420 0.170
Fe: 0.262 0.933 0.124
Fe: 0.556 0.805 0.495
Fe: 0.195 0.190 0.751
Fe: 0.249 0.944 0.439
Fe: 0.191 0.567 0.830
Fe: 0.081 0.857 0.904
Fe: 0.863 0.863 0.863
Fe: 0.224 0.143 0.547
Fe: 0.362 0.670 0.238
Fe: 0.323 0.776 0.419
Fe: 0.251 0.690 0.695
Fe: 0.738 0.170 0.862
Fe: 0.177 0.596 0.453
Fe: 0.056 0.995 0.305
Fe: 0.691 0.330 0.067
Fe: 0.439 0.249 0.944
Fe: 0.751 0.195 0.190
Fe: 0.453 0.177 0.596
Fe: 0.000 0.137 0.500
Fe: 0.096 0.677 0.953
Fe: 0.170 0.250 0.420
Fe: 0.750 0.670 0.920
Fe: 0.857 0.904 0.081
Fe: 0.809 0.876 0.638
Fe: 0.250 0.830 0.580
Fe: 0.124 0.262 0.933
Fe: 0.670 0.920 0.750
Fe: 0.310 0.505 0.561
Fe: 0.547 0.224 0.143
Fe: 0.143 0.547 0.224
Fe: 0.505 0.561 0.310
Fe: 0.624 0.433 0.762
Fe: 0.561 0.310 0.505
Fe: 0.596 0.453 0.177
Fe: 0.581 0.404 0.357
Fe: 0.061 0.005 0.810
Fe: 0.190 0.751 0.195
Fe: 0.330 0.750 0.080
Fe: 0.238 0.362 0.670
Fe: 0.919 0.276 0.823
Fe: 0.138 0.376 0.309
Fe: 0.810 0.061 0.005
Fe: 0.920 0.750 0.670
Fe: 0.995 0.305 0.056
Fe: 0.404 0.357 0.581
Fe: 0.376 0.309 0.138
Fe: 0.170 0.862 0.738
Fe: 0.823 0.919 0.276
Fe: 0.444 0.749 0.939
Fe: 0.000 0.637 0.500
Fe: 0.067 0.691 0.330
Fe: 0.862 0.738 0.170
Fe: 0.643 0.724 0.047
Fe: 0.762 0.624 0.433
Fe: 0.670 0.238 0.362
Fe: 0.357 0.581 0.404
Fe: 0.419 0.323 0.776
Fe: 0.305 0.056 0.995
Fe: 0.933 0.124 0.262
Fe: 0.330 0.067 0.691
Fe: 0.724 0.047 0.643
Fe: 0.420 0.170 0.250
B: 0.937 0.250 0.187
B: 0.813 0.250 0.063
B: 0.563 0.750 0.313
B: 0.313 0.563 0.750
B: 0.687 0.750 0.437
B: 0.750 0.437 0.687
B: 0.750 0.313 0.563
B: 0.063 0.813 0.250
B: 0.187 0.937 0.250
B: 0.437 0.687 0.750
B: 0.250 0.187 0.937
B: 0.250 0.063 0.813


[4]
Compound: Nd2Fe21B6
Source: Materials Project
Functional: PBE
Structure: relaxed

Cell: 7.702 7.702 7.702 Å, 60.00 60.00 60.00°
Fractional coordinates of all 29 atoms:
Nd: 0.250 0.250 0.250
Nd: 0.750 0.750 0.750
Fe: 0.338 0.000 0.000
Fe: 0.662 0.000 0.000
Fe: 0.000 0.338 0.662
Fe: 0.000 0.662 0.338
Fe: 0.000 0.338 0.000
Fe: 0.662 0.000 0.338
Fe: 0.000 0.662 0.000
Fe: 0.338 0.000 0.662
Fe: 0.000 0.000 0.338
Fe: 0.000 0.000 0.662
Fe: 0.662 0.338 0.000
Fe: 0.338 0.662 0.000
Fe: 0.389 0.389 0.389
Fe: 0.611 0.611 0.611
Fe: 0.389 0.389 0.833
Fe: 0.389 0.833 0.389
Fe: 0.611 0.611 0.167
Fe: 0.611 0.167 0.611
Fe: 0.833 0.389 0.389
Fe: 0.167 0.611 0.611
Fe: 0.000 0.000 0.000
B: 0.728 0.272 0.272
B: 0.272 0.728 0.728
B: 0.272 0.728 0.272
B: 0.728 0.272 0.728
B: 0.272 0.272 0.728
B: 0.728 0.728 0.272


[5]
Compound: NdFe12B6
Source: Materials Project
Functional: PBE
Structure: relaxed

Cell: 6.069 6.069 6.069 Å, 104.34 104.34 104.34°
Fractional coordinates of all 19 atoms:
Nd: 0.000 0.000 0.000
Fe: 0.869 0.131 0.500
Fe: 0.456 0.188 0.456
Fe: 0.456 0.456 0.188
Fe: 0.188 0.456 0.456
Fe: 0.131 0.500 0.869
Fe: 0.500 0.869 0.131
Fe: 0.812 0.544 0.544
Fe: 0.131 0.869 0.500
Fe: 0.869 0.500 0.131
Fe: 0.500 0.131 0.869
Fe: 0.544 0.544 0.812
Fe: 0.544 0.812 0.544
B: 0.231 0.231 0.685
B: 0.315 0.769 0.769
B: 0.769 0.315 0.769
B: 0.685 0.231 0.231
B: 0.769 0.769 0.315
B: 0.231 0.685 0.231


[6]
Compound: Nd5Fe2B6
Source: Materials Project
Functional: PBE
Structure: relaxed

Cell: 8.731 8.731 8.731 Å, 36.63 36.63 36.63°
Fractional coordinates of all 13 atoms:
Nd: 0.583 0.583 0.583
Nd: 0.417 0.417 0.417
Nd: 0.749 0.749 0.749
Nd: 0.251 0.251 0.251
Nd: 0.000 0.000 0.000
Fe: 0.878 0.878 0.878
Fe: 0.122 0.122 0.122
B: 0.500 0.833 0.167
B: 0.167 0.500 0.833
B: 0.833 0.167 0.500
B: 0.500 0.167 0.833
B: 0.833 0.500 0.167
B: 0.167 0.833 0.500


[7]
Compound: Nd4Ti3Fe25B2
Source: Materials Project
Functional: PBE
Structure: relaxed

Cell: 8.826 8.826 12.296 Å, 90.00 90.00 89.81°
Fractional coordinates of all 68 atoms:
Nd: 0.239 0.761 0.501
Nd: 0.761 0.239 0.501
Nd: 0.260 0.260 0.994
Nd: 0.740 0.740 0.994
Nd: 0.641 0.641 0.506
Nd: 0.359 0.359 0.506
Nd: 0.860 0.140 0.999
Nd: 0.140 0.860 0.999
Ti: 0.690 0.690 0.250
Ti: 0.310 0.310 0.250
Ti: 0.500 0.500 0.119
Ti: 0.000 0.000 0.626
Ti: 0.500 0.500 0.874
Ti: 0.000 0.000 0.375
Fe: 0.398 0.602 0.294
Fe: 0.602 0.398 0.294
Fe: 0.106 0.106 0.796
Fe: 0.894 0.894 0.796
Fe: 0.602 0.398 0.701
Fe: 0.398 0.602 0.701
Fe: 0.900 0.900 0.202
Fe: 0.100 0.100 0.202
Fe: 0.138 0.539 0.324
Fe: 0.862 0.461 0.324
Fe: 0.364 0.037 0.820
Fe: 0.636 0.963 0.820
Fe: 0.864 0.465 0.681
Fe: 0.136 0.535 0.681
Fe: 0.639 0.965 0.176
Fe: 0.361 0.035 0.176
Fe: 0.539 0.138 0.324
Fe: 0.461 0.862 0.324
Fe: 0.037 0.364 0.820
Fe: 0.963 0.636 0.820
Fe: 0.465 0.864 0.681
Fe: 0.535 0.136 0.681
Fe: 0.965 0.639 0.176
Fe: 0.035 0.361 0.176
Fe: 0.934 0.720 0.376
Fe: 0.066 0.280 0.376
Fe: 0.569 0.220 0.872
Fe: 0.431 0.780 0.872
Fe: 0.065 0.280 0.627
Fe: 0.935 0.720 0.627
Fe: 0.433 0.779 0.126
Fe: 0.567 0.221 0.126
Fe: 0.720 0.934 0.376
Fe: 0.280 0.066 0.376
Fe: 0.220 0.569 0.872
Fe: 0.780 0.431 0.872
Fe: 0.280 0.065 0.627
Fe: 0.720 0.935 0.627
Fe: 0.779 0.433 0.126
Fe: 0.221 0.567 0.126
Fe: 0.000 0.500 0.503
Fe: 0.500 0.000 0.997
Fe: 0.500 0.000 0.503
Fe: 0.000 0.500 0.997
Fe: 0.185 0.815 0.252
Fe: 0.815 0.185 0.252
Fe: 0.318 0.318 0.754
Fe: 0.682 0.682 0.754
Fe: 0.813 0.187 0.748
Fe: 0.187 0.813 0.748
B: 0.862 0.862 0.501
B: 0.138 0.138 0.501
B: 0.641 0.359 0.997
B: 0.359 0.641 0.997


[8]
Compound: FeNiB
Source: Materials Project
Functional: PBE
Structure: relaxed

Cell: 5.035 4.167 4.094 Å, 75.09 53.11 51.80°
Fractional coordinates of all 6 atoms:
Fe: 0.332 0.668 0.332
Fe: 0.668 0.332 0.668
Ni: 0.169 0.169 0.831
Ni: 0.831 0.831 0.169
B: 0.750 0.750 0.750
B: 0.250 0.250 0.250


For reference, formation enthalpy at 0 K by record: -0.123 -0.260 -0.095 -0.097 -0.278 -0.386 -0.076 -0.252 eV/atom.
For reference, total DFT energy (no corrections) by record: -8.540 -8.529 -8.109 -7.941 -7.988 -6.606 -7.955 -7.229 eV/atom.